Na3Li6Mn5O9: relaxed, GGA+U. Values from VASP.

Quantum ESPRESSO input file:
```
&SYSTEM
  ibrav = 0, nat = 23, ntyp = 4
/
ATOMIC_SPECIES
Na 22.99 Na.upf
Li 6.94 Li.upf
Mn 54.94 Mn.upf
O 16.00 O.upf
ATOMIC_POSITIONS angstrom
Na 1.643 -4.174 -4.001
Na -2.294 -5.313 1.541
Na -0.274 -4.649 -1.183
Li 0.396 -0.486 -1.880
Li -1.474 -1.025 0.745
Li 0.666 -2.140 0.012
Li 1.064 -8.845 -2.874
Li 2.162 -8.468 -0.239
Li -0.495 -9.365 -0.622
Mn 1.982 -6.542 -1.977
Mn 0.116 -7.083 0.595
Mn -0.784 -2.464 -3.126
Mn -2.643 -3.023 -0.493
Mn -1.074 -7.408 -2.308
O -1.057 -0.293 -3.205
O -3.218 -0.932 -0.168
O 0.928 -2.504 -1.945
O -2.274 -3.664 -2.403
O -0.970 -3.052 0.736
O 0.368 -6.188 -3.272
O -1.693 -6.709 -0.404
O 1.732 -5.865 0.003
O 3.819 -8.316 0.974
CELL_PARAMETERS angstrom
-5.202 -1.462 2.323
0.634 0.221 -5.856
3.950 -8.321 1.095
```

- Spin magnetization: 24.2 μB/f.u.
- Energy of formation from the pure elements: -1.799 eV/atom

***

Li4Mn3NbO8: relaxed, GGA+U. Values from VASP.

Quantum ESPRESSO input file:
```
&SYSTEM
  ibrav = 0, nat = 32, ntyp = 4
/
ATOMIC_SPECIES
Li 6.94 Li.upf
Mn 54.94 Mn.upf
Nb 92.91 Nb.upf
O 16.00 O.upf
ATOMIC_POSITIONS angstrom
Li -1.329 -6.481 -3.298
Li 4.635 -7.918 -2.632
Li -4.327 -5.784 -3.592
Li 1.637 -7.222 -2.925
Li -0.371 -7.867 -0.678
Li 2.086 -12.235 -4.149
Li -3.394 -7.170 -0.998
Li -0.936 -11.538 -4.468
Mn -2.159 -9.330 -2.736
Mn -2.572 -4.321 -1.521
Mn 2.845 -9.395 -4.674
Mn 3.804 -10.768 -2.074
Mn -0.113 -8.688 -4.986
Mn 0.389 -5.028 -1.204
Nb 2.472 -4.379 -3.456
Nb -3.493 -2.940 -4.121
O 1.584 -7.752 -5.145
O -0.874 -3.386 -1.674
O 1.678 -6.677 -0.736
O 4.133 -11.046 -4.208
O 4.864 -8.429 -4.879
O 2.408 -4.061 -1.409
O 2.546 -9.049 -2.509
O -3.417 -7.611 -3.173
O 5.772 -9.779 -2.036
O -0.190 -8.341 -2.700
O -1.594 -6.015 -0.986
O 0.864 -10.382 -4.455
O 6.684 -6.824 -2.703
O 0.722 -5.387 -3.367
O -2.478 -4.659 -3.842
O 3.486 -6.097 -3.179
CELL_PARAMETERS angstrom
-1.659 -5.704 1.066
-3.506 -2.931 -4.134
8.420 -5.806 -2.805
```

- Spin magnetization: 0.0 μB/f.u.
- ΔE to the lowest computed polymorph: 6 meV per atom
- Energy of formation from the pure elements: -2.326 eV/atom

***

Li4Mn3NbO8: relaxed, GGA+U. Values from VASP.

Quantum ESPRESSO input file:
```
&SYSTEM
  ibrav = 0, nat = 32, ntyp = 4
/
ATOMIC_SPECIES
Li 6.94 Li.upf
Mn 54.94 Mn.upf
Nb 92.91 Nb.upf
O 16.00 O.upf
ATOMIC_POSITIONS angstrom
Li 6.915 5.243 -3.978
Li 1.780 3.741 -1.370
Li 7.889 0.697 -1.358
Li 2.613 2.373 -3.990
Li 8.728 0.972 -6.634
Li 7.025 3.635 -1.389
Li 2.626 0.770 -1.334
Li 7.877 2.304 -4.006
Mn 5.263 3.130 -5.317
Mn 10.490 1.478 -2.700
Mn 4.347 4.490 -2.674
Mn 4.360 2.886 -0.021
Mn 6.142 0.186 -5.325
Mn 6.155 -1.421 -2.676
Nb 5.300 1.534 -2.679
Nb 10.452 3.071 -5.341
O 5.439 -1.715 -4.652
O 3.702 4.176 -4.522
O 6.854 -1.116 -0.690
O 5.002 4.797 -0.836
O 4.351 -0.135 -2.022
O 9.626 1.310 -4.744
O 0.900 1.671 -0.648
O 6.126 3.294 -3.279
O 8.862 0.844 0.559
O 3.609 2.695 -2.091
O 9.689 -0.397 -1.900
O 4.416 1.310 -4.499
O 6.914 0.547 -3.274
O 5.085 6.285 -3.257
O 6.085 1.781 -0.812
O 0.814 3.450 -3.483
CELL_PARAMETERS angstrom
3.467 4.232 2.629
7.059 -4.376 -2.671
-0.024 3.215 -5.305
```

- Spin magnetization: 1.0 μB/f.u.
- ΔE to the lowest computed polymorph: 10 meV per atom
- Energy of formation from the pure elements: -2.323 eV/atom

***

Li2MnNbO4: relaxed, GGA+U. Values from VASP.

Quantum ESPRESSO input file:
```
&SYSTEM
  ibrav = 0, nat = 16, ntyp = 4
/
ATOMIC_SPECIES
Li 6.94 Li.upf
Mn 54.94 Mn.upf
Nb 92.91 Nb.upf
O 16.00 O.upf
ATOMIC_POSITIONS angstrom
Li 1.477 -1.572 2.245
Li 2.955 0.000 0.000
Li 1.477 1.572 -2.245
Li 0.000 0.000 4.489
Mn 0.000 3.144 0.000
Mn 0.000 0.000 0.000
Nb 1.477 1.572 2.245
Nb -1.477 1.572 2.245
O 0.000 0.021 6.732
O -1.468 1.572 4.259
O 2.955 -0.021 2.243
O 1.468 1.572 4.259
O 1.487 1.572 0.230
O 0.000 3.165 2.246
O 4.422 1.572 0.230
O 2.955 3.123 -2.243
CELL_PARAMETERS angstrom
-2.955 3.144 4.489
2.955 -3.144 4.489
2.955 3.144 -4.489
```

- Spin magnetization: 4.9 μB/f.u.
- Energy of formation from the pure elements: -2.419 eV/atom

***

Li4Mn3NbO8: relaxed, GGA+U. Values from VASP.

Quantum ESPRESSO input file:
```
&SYSTEM
  ibrav = 0, nat = 32, ntyp = 4
/
ATOMIC_SPECIES
Li 6.94 Li.upf
Mn 54.94 Mn.upf
Nb 92.91 Nb.upf
O 16.00 O.upf
ATOMIC_POSITIONS angstrom
Li -6.622 0.683 7.114
Li -4.335 -4.250 4.248
Li -9.577 -3.328 8.617
Li -1.377 -0.236 2.742
Li -0.334 -2.652 1.404
Li -7.905 -0.414 4.466
Li -8.251 -2.234 11.034
Li -5.426 -1.818 5.838
Mn -5.704 -4.495 7.004
Mn -1.579 -2.969 4.065
Mn -9.376 -0.600 7.301
Mn -2.911 -4.046 1.531
Mn -6.838 -2.040 8.429
Mn -4.120 -1.524 2.934
Nb -10.506 1.854 8.728
Nb -2.792 -0.446 5.463
O -2.145 -2.237 2.358
O -5.104 -2.594 7.755
O -8.568 -1.468 9.104
O -6.091 -0.838 3.493
O -7.443 -1.279 6.359
O -5.073 -6.255 3.528
O -3.541 -2.267 4.988
O -5.850 2.675 7.847
O -8.721 1.373 7.966
O -6.448 -3.718 5.047
O -6.029 -0.302 9.129
O -3.270 0.338 3.687
O -2.158 -4.821 3.473
O -4.586 0.036 6.235
O -4.941 -3.414 2.183
O -7.668 -3.752 7.724
CELL_PARAMETERS angstrom
-0.387 -5.448 2.656
-5.090 4.484 8.334
-5.479 -2.601 0.372
```

- Spin magnetization: 0.0 μB/f.u.
- ΔE to the lowest computed polymorph: 0 meV per atom
- Energy of formation from the pure elements: -2.332 eV/atom

***

Li4Mn3NbO8: relaxed, GGA+U. Values from VASP.

Quantum ESPRESSO input file:
```
&SYSTEM
  ibrav = 0, nat = 32, ntyp = 4
/
ATOMIC_SPECIES
Li 6.94 Li.upf
Mn 54.94 Mn.upf
Nb 92.91 Nb.upf
O 16.00 O.upf
ATOMIC_POSITIONS angstrom
Li -5.151 1.367 5.141
Li -4.183 -4.153 7.692
Li -8.731 -3.849 10.128
Li -4.875 -1.454 6.334
Li -2.979 1.037 7.346
Li -7.232 -1.490 10.995
Li -2.641 1.415 0.677
Li -2.465 -1.653 8.489
Mn -5.591 2.537 7.894
Mn -7.293 0.099 6.965
Mn -6.316 -5.400 9.492
Mn -4.624 -2.987 10.446
Mn -6.805 -2.650 8.227
Mn -2.547 -0.119 4.578
Nb -5.029 -0.260 9.135
Nb -0.077 0.022 0.034
O -6.892 -1.932 6.415
O -2.869 0.639 2.593
O -2.235 -0.876 6.569
O -6.721 -3.369 10.043
O -6.540 -4.507 7.486
O -2.233 -2.146 3.775
O -4.588 -2.075 8.407
O -5.598 3.467 5.954
O -4.162 -5.060 9.839
O -5.106 0.529 7.249
O -2.875 1.906 5.389
O -7.076 -0.793 8.972
O -3.802 -6.216 6.954
O -4.730 -0.712 4.308
O -5.223 2.225 3.011
O -4.227 -3.231 5.519
CELL_PARAMETERS angstrom
-0.856 2.320 5.527
-5.224 2.991 1.097
-3.282 -8.053 6.194
```

- Spin magnetization: 0.0 μB/f.u.
- ΔE to the lowest computed polymorph: 0 meV per atom
- Energy of formation from the pure elements: -2.332 eV/atom